No. 1
Below is a relaxed structure of Fe2CoO4, with properties calculated at the PBE with a Hubbard U level.

a = 5.933 Å, b = 5.933 Å, c = 5.933 Å
α = 120.49°, β = 120.20°, γ = 89.40°
Element x y z (fractional)
O1 0.763 0.741 0.479
Co1 0.626 0.876 0.750
Fe1 0.000 0.500 0.500
O2 0.763 0.284 0.021
O3 0.783 0.255 0.528
Co2 0.374 0.124 0.250
O4 0.237 0.716 0.979
O5 0.237 0.259 0.521
O6 0.227 0.255 0.972
Fe2 0.500 0.500 0.000
O7 0.773 0.745 0.028
O8 0.217 0.745 0.472
Fe3 0.000 0.500 0.000
Fe4 0.000 0.000 0.500

Computed properties:
Energy above the most stable polymorph in this dataset in eV per atom: 0.490
ΔE_f in eV per atom: -1.086


No. 2
Below is a relaxed structure of FeCo2O6, with properties calculated at the PBE with a Hubbard U level.

a = 5.003 Å, b = 5.003 Å, c = 9.581 Å
α = 90.00°, β = 90.00°, γ = 120.12°
Element x y z (fractional)
O1 0.655 0.000 0.901
O2 0.500 0.845 0.401
O3 0.155 0.155 0.401
O4 0.845 0.500 0.401
O5 0.655 0.655 0.099
O6 0.345 0.345 0.901
O7 0.500 0.155 0.599
O8 0.000 0.345 0.099
O9 0.345 0.000 0.099
Co1 0.333 0.667 0.000
Co2 0.667 0.333 0.000
O10 0.845 0.845 0.599
O11 0.155 0.500 0.599
O12 0.000 0.655 0.901
Co3 0.833 0.167 0.500
Fe1 0.500 0.500 0.500
Co4 0.167 0.833 0.500
Fe2 0.000 0.000 0.000

Computed properties:
Energy above the most stable polymorph in this dataset in eV per atom: 0.000
ΔE_f in eV per atom: -1.089